Run w
Li3Mn2Co2O8 GGA+U optimized geometry; magnetization = 13.00 μB per cell; SG = P-1
1.0
-0.9953 1.7430 5.3980
0.4322 -5.6480 -1.1635
5.3363 0.9134 -2.3427
O Mn Li Co
8 2 3 2
Cartesian
4.0231 -2.6864 0.0909 O
0.5288 -2.3195 3.8481 O
4.2444 -0.6722 -1.9563 O
0.3008 0.6571 4.4227 O
3.7845 0.1884 0.5911 O
4.4725 -3.6487 -2.5309 O
0.7502 -0.3053 1.8009 O
0.9888 -3.1801 1.3007 O
-0.4976 0.8715 2.6990 Mn
-0.2815 -1.9525 2.1172 Mn
2.1705 1.3282 1.5276 Li
2.8843 -2.3673 -1.7531 Li
0.2161 -2.8240 -0.5818 Li
2.6681 0.4567 -1.1713 Co
0.0000 0.0000 0.0000 Co

=====

Run x
Li3Mn2Co2O8 GGA+U optimized geometry; magnetization = 11.00 μB per cell; SG = P-1
1.0
5.7948 0.0000 0.0000
-2.7339 5.1263 0.0000
-0.0985 -3.3241 4.8180
Li O Mn Co
3 8 2 2
Cartesian
-0.0493 -1.6621 2.4090 Li
1.5305 2.5631 0.0000 Li
1.4812 0.9011 2.4090 Li
3.1439 -0.2815 3.8012 O
4.3831 -0.6687 1.1733 O
1.7759 2.4680 3.7440 O
1.1865 -0.6658 1.0740 O
-0.1815 2.0836 1.0168 O
0.0573 -0.2819 3.6877 O
2.9051 2.0841 1.1304 O
-1.4207 2.4709 3.6447 O
-1.3669 2.5631 0.0000 Mn
2.8974 0.0000 0.0000 Mn
0.0000 0.0000 0.0000 Co
-1.4162 0.9011 2.4090 Co

=====

Run y
Li3Mn2Co2O8 GGA+U optimized geometry; magnetization = 11.00 μB per cell; SG = P1
1.0
-0.0002 1.6090 2.4291
-4.7161 -1.3955 0.8500
3.4798 -7.9948 5.0203
O Li Mn Co
8 3 2 2
Cartesian
-0.8231 -7.6138 6.4497 O
-2.7538 -0.2420 3.5241 O
-2.9832 -4.0908 3.3330 O
1.6793 -7.5720 4.8557 O
-0.3498 -0.2901 1.9576 O
1.7294 -3.7273 4.9294 O
-0.6207 -2.5684 4.0856 O
-0.7722 -5.1943 4.0908 O
-1.7870 -6.7383 5.0492 Li
-0.7696 -2.2403 1.4662 Li
-3.1191 -2.1750 3.0970 Li
0.5286 -3.9898 3.3273 Mn
1.1389 -7.7952 6.6534 Mn
-4.6759 -1.4258 0.8866 Co
-1.8440 -3.8222 4.9236 Co

=====

run w has the most favorable energy; the next structure is 63 meV per atom above.